# Sm4MnS7

An optimized crystal structure of Sm4MnS7 (PBE-GGA, the Materials Project database).

```
Sm4MnS7
1.0
9.820 0.000 0.000
-4.910 8.505 0.000
0.000 0.000 6.847
Sm Mn S
8 2 14
direct
0.155 0.378 0.000
0.223 0.845 0.000
0.333 0.667 0.451
0.378 0.223 0.500
0.622 0.777 0.000
0.667 0.333 0.951
0.777 0.155 0.500
0.845 0.622 0.500
0.000 0.000 0.325
0.000 0.000 0.825
0.074 0.563 0.237
0.106 0.238 0.603
0.132 0.894 0.603
0.238 0.132 0.103
0.333 0.667 0.836
0.437 0.511 0.237
0.489 0.926 0.237
0.511 0.074 0.737
0.563 0.489 0.737
0.667 0.333 0.336
0.762 0.868 0.603
0.868 0.106 0.103
0.894 0.762 0.103
0.926 0.437 0.737
```

space-group type	No. 173
total magnetic moment	9.85	Bohr magnetons per cell
energy of formation	-24.04	eV/f.u.
crystal system	hexagonal